Record 1
! CaH12Cl2O6 r2SCAN relaxed; values from VASP
! - Formation enthalpy at 0 K: -1290 meV per atom
! - V: 205.8 Å³/f.u.
! - E_tot: -123.73 eV/cell
&SYSTEM
  ibrav = 0, nat = 21, ntyp = 4
/
ATOMIC_SPECIES
Ca 40.08 Ca.upf
H 1.01 H.upf
Cl 35.45 Cl.upf
O 16.00 O.upf
ATOMIC_POSITIONS crystal
Ca 0.000 0.000 0.000
H 0.101 0.436 0.100
H 0.114 0.768 0.522
H 0.232 0.346 0.522
H 0.335 0.899 0.100
H 0.346 0.232 0.478
H 0.436 0.101 0.900
H 0.564 0.665 0.100
H 0.654 0.886 0.522
H 0.665 0.564 0.900
H 0.768 0.114 0.478
H 0.886 0.654 0.478
H 0.899 0.335 0.900
Cl 0.333 0.667 0.418
Cl 0.667 0.333 0.582
O 0.000 0.312 0.000
O 0.000 0.786 0.500
O 0.214 0.214 0.500
O 0.312 0.000 0.000
O 0.688 0.688 0.000
O 0.786 0.000 0.500
CELL_PARAMETERS angstrom
7.831 0.000 0.000
-3.916 6.782 0.000
0.000 0.000 3.875



Record 2
! Ho2FeSi2 r2SCAN relaxed; values from VASP
! - Formation enthalpy at 0 K: -649 meV per atom
! - V: 92.1 Å³/f.u.
! - E_tot: -201.94 eV/cell
&SYSTEM
  ibrav = 0, nat = 10, ntyp = 3
/
ATOMIC_SPECIES
Ho 164.93 Ho.upf
Fe 55.84 Fe.upf
Si 28.09 Si.upf
ATOMIC_POSITIONS crystal
Ho 0.001 0.001 0.329
Ho 0.188 0.188 0.109
Ho 0.812 0.812 0.891
Ho 0.999 0.999 0.671
Fe 0.271 0.271 0.623
Fe 0.729 0.729 0.377
Si 0.344 0.344 0.436
Si 0.500 0.500 0.127
Si 0.500 0.500 0.873
Si 0.656 0.656 0.564
CELL_PARAMETERS angstrom
5.201 -2.057 0.000
5.201 2.057 0.000
-4.862 0.000 8.610



Record 3
! LaCo2As2 r2SCAN relaxed; values from VASP
! - Formation enthalpy at 0 K: -784 meV per atom
! - V: 85.9 Å³/f.u.
! - E_tot: -89.55 eV/cell
&SYSTEM
  ibrav = 0, nat = 5, ntyp = 3
/
ATOMIC_SPECIES
La 138.91 La.upf
Co 58.93 Co.upf
As 74.92 As.upf
ATOMIC_POSITIONS crystal
La 0.000 0.000 0.000
Co 0.250 0.750 0.500
Co 0.750 0.250 0.500
As 0.360 0.360 0.000
As 0.640 0.640 0.000
CELL_PARAMETERS angstrom
-2.043 2.043 5.144
2.043 -2.043 5.144
2.043 2.043 -5.144



Record 4
! Ta3Ru r2SCAN relaxed; values from VASP
! - Formation enthalpy at 0 K: -229 meV per atom
! - V: 66.7 Å³/f.u.
! - E_tot: -172.11 eV/cell
&SYSTEM
  ibrav = 0, nat = 4, ntyp = 2
/
ATOMIC_SPECIES
Ta 180.95 Ta.upf
Ru 101.07 Ru.upf
ATOMIC_POSITIONS crystal
Ta 0.000 0.000 0.000
Ta 0.250 0.250 0.250
Ta 0.750 0.750 0.750
Ru 0.500 0.500 0.500
CELL_PARAMETERS angstrom
0.000 3.218 3.218
3.218 0.000 3.218
3.218 3.218 0.000



Record 5
! Er5Bi3 r2SCAN relaxed; values from VASP
! - Formation enthalpy at 0 K: -764 meV per atom
! - Offset from the most stable computed form: 0 meV per atom
! - V: 227.8 Å³/f.u.
! - E_tot: -1404.98 eV/cell
&SYSTEM
  ibrav = 0, nat = 32, ntyp = 2
/
ATOMIC_SPECIES
Er 167.26 Er.upf
Bi 208.98 Bi.upf
ATOMIC_POSITIONS crystal
Er 0.023 0.250 0.011
Er 0.145 0.750 0.284
Er 0.186 0.250 0.283
Er 0.193 0.065 0.559
Er 0.193 0.435 0.559
Er 0.307 0.565 0.059
Er 0.307 0.935 0.059
Er 0.314 0.750 0.783
Er 0.355 0.250 0.784
Er 0.477 0.750 0.511
Er 0.523 0.250 0.489
Er 0.645 0.750 0.216
Er 0.686 0.250 0.217
Er 0.693 0.065 0.941
Er 0.693 0.435 0.941
Er 0.807 0.565 0.441
Er 0.807 0.935 0.441
Er 0.814 0.750 0.717
Er 0.855 0.250 0.716
Er 0.977 0.750 0.989
Bi 0.066 0.004 0.826
Bi 0.066 0.496 0.826
Bi 0.094 0.750 0.542
Bi 0.406 0.250 0.042
Bi 0.434 0.504 0.326
Bi 0.434 0.996 0.326
Bi 0.566 0.004 0.674
Bi 0.566 0.496 0.674
Bi 0.594 0.750 0.958
Bi 0.906 0.250 0.458
Bi 0.934 0.504 0.174
Bi 0.934 0.996 0.174
CELL_PARAMETERS angstrom
8.161 0.000 0.000
0.000 9.378 0.000
0.000 0.000 11.903



Record 6
! Ta r2SCAN relaxed; values from VASP
! - Formation enthalpy at 0 K: 9 meV per atom
! - Offset from the most stable computed form: 9 meV per atom
! - V: 18.1 Å³/f.u.
! - E_tot: -48.58 eV/cell
&SYSTEM
  ibrav = 0, nat = 1, ntyp = 1
/
ATOMIC_SPECIES
Ta 180.95 Ta.upf
ATOMIC_POSITIONS crystal
Ta 0.000 0.000 0.000
CELL_PARAMETERS angstrom
-1.655 1.655 1.655
1.655 -1.655 1.655
1.655 1.655 -1.655



Record 7
! TiBe2Ir r2SCAN relaxed; values from VASP
! - Formation enthalpy at 0 K: -615 meV per atom
! - V: 45.5 Å³/f.u.
! - E_tot: -76.43 eV/cell
&SYSTEM
  ibrav = 0, nat = 4, ntyp = 3
/
ATOMIC_SPECIES
Ti 47.87 Ti.upf
Be 9.01 Be.upf
Ir 192.22 Ir.upf
ATOMIC_POSITIONS crystal
Ti 0.000 0.000 0.000
Be 0.250 0.250 0.250
Be 0.750 0.750 0.750
Ir 0.500 0.500 0.500
CELL_PARAMETERS angstrom
0.000 2.833 2.833
2.833 0.000 2.833
2.833 2.833 0.000



Record 8
! Sb2O3 r2SCAN relaxed; values from VASP
! - Formation enthalpy at 0 K: -1443 meV per atom
! - V: 88.3 Å³/f.u.
! - E_tot: -306.17 eV/cell
&SYSTEM
  ibrav = 0, nat = 20, ntyp = 2
/
ATOMIC_SPECIES
Sb 121.76 Sb.upf
O 16.00 O.upf
ATOMIC_POSITIONS crystal
Sb 0.219 0.760 0.760
Sb 0.240 0.240 0.240
Sb 0.240 0.240 0.781
Sb 0.240 0.781 0.240
Sb 0.760 0.219 0.760
Sb 0.760 0.760 0.219
Sb 0.760 0.760 0.760
Sb 0.781 0.240 0.240
O 0.061 0.061 0.689
O 0.061 0.689 0.061
O 0.061 0.689 0.689
O 0.311 0.311 0.939
O 0.311 0.939 0.311
O 0.311 0.939 0.939
O 0.689 0.061 0.061
O 0.689 0.061 0.689
O 0.689 0.689 0.061
O 0.939 0.311 0.311
O 0.939 0.311 0.939
O 0.939 0.939 0.311
CELL_PARAMETERS angstrom
0.000 5.610 5.610
5.610 0.000 5.610
5.610 5.610 0.000



Record 9
! USb2Pd r2SCAN relaxed; values from VASP
! - Formation enthalpy at 0 K: -640 meV per atom
! - V: 94.6 Å³/f.u.
! - E_tot: -313.75 eV/cell
&SYSTEM
  ibrav = 0, nat = 8, ntyp = 3
/
ATOMIC_SPECIES
U 238.03 U.upf
Sb 121.76 Sb.upf
Pd 106.42 Pd.upf
ATOMIC_POSITIONS crystal
U 0.250 0.250 0.244
U 0.750 0.750 0.756
Sb 0.250 0.250 0.833
Sb 0.250 0.750 0.500
Sb 0.750 0.250 0.500
Sb 0.750 0.750 0.167
Pd 0.250 0.750 0.000
Pd 0.750 0.250 0.000
CELL_PARAMETERS angstrom
4.437 0.000 0.000
0.000 4.437 0.000
0.000 0.000 9.612



Record 10
! Li5BiO5 r2SCAN relaxed; values from VASP
! - Formation enthalpy at 0 K: -1807 meV per atom
! - V: 116.0 Å³/f.u.
! - E_tot: -120.17 eV/cell
&SYSTEM
  ibrav = 0, nat = 11, ntyp = 3
/
ATOMIC_SPECIES
Li 6.94 Li.upf
Bi 208.98 Bi.upf
O 16.00 O.upf
ATOMIC_POSITIONS crystal
Li 0.000 0.000 0.000
Li 0.020 0.020 0.482
Li 0.398 0.398 0.201
Li 0.424 0.424 0.687
Li 0.713 0.713 0.841
Bi 0.710 0.710 0.341
O 0.208 0.208 0.336
O 0.544 0.544 0.014
O 0.560 0.560 0.522
O 0.860 0.860 0.163
O 0.875 0.875 0.669
CELL_PARAMETERS angstrom
4.912 -2.104 0.000
4.912 2.104 0.000
-1.980 0.000 5.612



Record 11
! Sc7V9O24 r2SCAN relaxed; values from VASP
! - Formation enthalpy at 0 K: -3149 meV per atom
! - V: 442.3 Å³/f.u.
! - E_tot: -475.88 eV/cell
&SYSTEM
  ibrav = 0, nat = 40, ntyp = 3
/
ATOMIC_SPECIES
Sc 44.96 Sc.upf
V 50.94 V.upf
O 16.00 O.upf
ATOMIC_POSITIONS crystal
Sc 0.000 0.000 0.000
Sc 0.037 0.215 0.752
Sc 0.248 0.465 0.288
Sc 0.491 0.999 0.498
Sc 0.528 0.784 0.823
Sc 0.747 0.963 0.289
Sc 0.818 0.533 0.787
V 0.033 0.716 0.258
V 0.067 0.503 0.572
V 0.282 0.750 0.037
V 0.283 0.248 0.536
V 0.321 0.037 0.787
V 0.533 0.282 0.318
V 0.571 0.497 0.076
V 0.779 0.253 0.046
V 0.788 0.745 0.534
O 0.009 0.261 0.000
O 0.012 0.498 0.317
O 0.016 0.223 0.493
O 0.057 0.969 0.765
O 0.058 0.486 0.816
O 0.059 0.793 0.058
O 0.222 0.980 0.496
O 0.258 0.205 0.264
O 0.263 0.783 0.796
O 0.290 0.713 0.270
O 0.328 0.515 0.575
O 0.332 0.290 0.818
O 0.504 0.694 0.028
O 0.510 0.018 0.257
O 0.521 0.525 0.300
O 0.547 0.019 0.768
O 0.547 0.289 0.581
O 0.551 0.237 0.082
O 0.737 0.740 0.755
O 0.748 0.987 0.550
O 0.773 0.474 0.001
O 0.792 0.026 0.084
O 0.813 0.499 0.519
O 0.832 0.755 0.313
CELL_PARAMETERS angstrom
8.271 0.000 0.000
-2.649 7.857 0.000
-2.804 -3.928 6.806



Record 12
! Sm3MgBiRu4O14 r2SCAN relaxed; values from VASP
! - Formation enthalpy at 0 K: -2069 meV per atom
! - V: 286.8 Å³/f.u.
! - E_tot: -384.76 eV/cell
&SYSTEM
  ibrav = 0, nat = 23, ntyp = 5
/
ATOMIC_SPECIES
Sm 150.36 Sm.upf
Mg 24.30 Mg.upf
Bi 208.98 Bi.upf
Ru 101.07 Ru.upf
O 16.00 O.upf
ATOMIC_POSITIONS crystal
Sm 0.000 0.000 0.000
Sm 0.000 0.524 0.525
Sm 0.524 0.000 0.525
Mg 0.285 0.285 0.240
Bi 0.014 0.014 0.508
Ru 0.002 0.526 0.998
Ru 0.522 0.522 0.003
Ru 0.526 0.002 0.998
Ru 0.526 0.526 0.522
O 0.172 0.172 0.352
O 0.178 0.607 0.346
O 0.178 0.608 0.917
O 0.179 0.179 0.918
O 0.436 0.849 0.676
O 0.442 0.442 0.682
O 0.442 0.843 0.083
O 0.607 0.178 0.346
O 0.608 0.178 0.917
O 0.608 0.608 0.347
O 0.843 0.442 0.083
O 0.849 0.436 0.676
O 0.849 0.849 0.089
O 0.896 0.896 0.628
CELL_PARAMETERS angstrom
6.323 -3.732 0.000
6.323 3.732 0.000
-4.121 0.000 6.078



Record 13
! InAg3 r2SCAN relaxed; values from VASP
! - Formation enthalpy at 0 K: -51 meV per atom
! - V: 73.4 Å³/f.u.
! - E_tot: -86.85 eV/cell
&SYSTEM
  ibrav = 0, nat = 4, ntyp = 2
/
ATOMIC_SPECIES
In 114.82 In.upf
Ag 107.87 Ag.upf
ATOMIC_POSITIONS crystal
In 0.000 0.000 0.000
Ag 0.000 0.500 0.500
Ag 0.500 0.000 0.500
Ag 0.500 0.500 0.000
CELL_PARAMETERS angstrom
4.187 0.000 0.000
0.000 4.187 0.000
0.000 0.000 4.187



Record 14
! Lu3Sc3Ga2O12 r2SCAN relaxed; values from VASP
! - Formation enthalpy at 0 K: -3296 meV per atom
! - V: 240.8 Å³/f.u.
! - E_tot: -1235.61 eV/cell
&SYSTEM
  ibrav = 0, nat = 80, ntyp = 4
/
ATOMIC_SPECIES
Lu 174.97 Lu.upf
Sc 44.96 Sc.upf
Ga 69.72 Ga.upf
O 16.00 O.upf
ATOMIC_POSITIONS crystal
Lu 0.125 0.250 0.375
Lu 0.125 0.375 0.750
Lu 0.250 0.375 0.125
Lu 0.250 0.875 0.625
Lu 0.375 0.125 0.250
Lu 0.375 0.750 0.125
Lu 0.625 0.250 0.875
Lu 0.625 0.875 0.750
Lu 0.750 0.125 0.375
Lu 0.750 0.625 0.875
Lu 0.875 0.625 0.250
Lu 0.875 0.750 0.625
Sc 0.125 0.750 0.875
Sc 0.125 0.875 0.250
Sc 0.250 0.125 0.875
Sc 0.250 0.625 0.375
Sc 0.375 0.250 0.625
Sc 0.375 0.625 0.750
Sc 0.625 0.375 0.250
Sc 0.625 0.750 0.375
Sc 0.750 0.375 0.625
Sc 0.750 0.875 0.125
Sc 0.875 0.125 0.750
Sc 0.875 0.250 0.125
Ga 0.000 0.000 0.000
Ga 0.000 0.000 0.500
Ga 0.000 0.500 0.000
Ga 0.000 0.500 0.500
Ga 0.500 0.000 0.000
Ga 0.500 0.000 0.500
Ga 0.500 0.500 0.000
Ga 0.500 0.500 0.500
O 0.038 0.208 0.126
O 0.038 0.330 0.911
O 0.082 0.708 0.670
O 0.082 0.874 0.411
O 0.089 0.626 0.418
O 0.089 0.962 0.670
O 0.126 0.038 0.208
O 0.126 0.589 0.918
O 0.170 0.208 0.582
O 0.170 0.462 0.589
O 0.208 0.126 0.038
O 0.208 0.582 0.170
O 0.292 0.330 0.918
O 0.292 0.462 0.374
O 0.330 0.911 0.038
O 0.330 0.918 0.292
O 0.374 0.292 0.462
O 0.374 0.582 0.911
O 0.411 0.082 0.874
O 0.411 0.830 0.538
O 0.418 0.089 0.626
O 0.418 0.830 0.792
O 0.462 0.374 0.292
O 0.462 0.589 0.170
O 0.538 0.411 0.830
O 0.538 0.626 0.708
O 0.582 0.170 0.208
O 0.582 0.911 0.374
O 0.589 0.170 0.462
O 0.589 0.918 0.126
O 0.626 0.418 0.089
O 0.626 0.708 0.538
O 0.670 0.082 0.708
O 0.670 0.089 0.962
O 0.708 0.538 0.626
O 0.708 0.670 0.082
O 0.792 0.418 0.830
O 0.792 0.874 0.962
O 0.830 0.538 0.411
O 0.830 0.792 0.418
O 0.874 0.411 0.082
O 0.874 0.962 0.792
O 0.911 0.038 0.330
O 0.911 0.374 0.582
O 0.918 0.126 0.589
O 0.918 0.292 0.330
O 0.962 0.670 0.089
O 0.962 0.792 0.874
CELL_PARAMETERS angstrom
-6.222 6.222 6.222
6.222 -6.222 6.222
6.222 6.222 -6.222



Record 15
! LiScTl2 r2SCAN relaxed; values from VASP
! - Formation enthalpy at 0 K: -311 meV per atom
! - V: 87.5 Å³/f.u.
! - E_tot: -121.39 eV/cell
&SYSTEM
  ibrav = 0, nat = 4, ntyp = 3
/
ATOMIC_SPECIES
Li 6.94 Li.upf
Sc 44.96 Sc.upf
Tl 204.38 Tl.upf
ATOMIC_POSITIONS crystal
Li 0.000 0.000 0.000
Sc 0.500 0.500 0.500
Tl 0.250 0.250 0.250
Tl 0.750 0.750 0.750
CELL_PARAMETERS angstrom
0.000 3.524 3.524
3.524 0.000 3.524
3.524 3.524 0.000



Record 16
! TiZn3 r2SCAN relaxed; values from VASP
! - Formation enthalpy at 0 K: -212 meV per atom
! - V: 57.8 Å³/f.u.
! - E_tot: -81.03 eV/cell
&SYSTEM
  ibrav = 0, nat = 8, ntyp = 2
/
ATOMIC_SPECIES
Ti 47.87 Ti.upf
Zn 65.41 Zn.upf
ATOMIC_POSITIONS crystal
Ti 0.333 0.667 0.250
Ti 0.667 0.333 0.750
Zn 0.165 0.330 0.750
Zn 0.165 0.835 0.750
Zn 0.330 0.165 0.250
Zn 0.670 0.835 0.750
Zn 0.835 0.165 0.250
Zn 0.835 0.670 0.250
CELL_PARAMETERS angstrom
5.571 0.000 0.000
-2.786 4.825 0.000
0.000 0.000 4.302



Record 17
! Ca3UO6 r2SCAN relaxed; values from VASP
! - Formation enthalpy at 0 K: -3454 meV per atom
! - V: 153.0 Å³/f.u.
! - E_tot: -342.87 eV/cell
&SYSTEM
  ibrav = 0, nat = 20, ntyp = 3
/
ATOMIC_SPECIES
Ca 40.08 Ca.upf
U 238.03 U.upf
O 16.00 O.upf
ATOMIC_POSITIONS crystal
Ca 0.057 0.561 0.751
Ca 0.249 0.943 0.439
Ca 0.439 0.249 0.943
Ca 0.561 0.751 0.057
Ca 0.751 0.057 0.561
Ca 0.943 0.439 0.249
U 0.000 0.000 0.000
U 0.500 0.500 0.500
O 0.041 0.913 0.706
O 0.087 0.294 0.959
O 0.207 0.575 0.435
O 0.294 0.959 0.087
O 0.425 0.565 0.793
O 0.435 0.207 0.575
O 0.565 0.793 0.425
O 0.575 0.435 0.207
O 0.706 0.041 0.913
O 0.793 0.425 0.565
O 0.913 0.706 0.041
O 0.959 0.087 0.294
CELL_PARAMETERS angstrom
4.821 2.784 3.799
-4.821 2.784 3.799
0.000 -5.567 3.799